(1)
VP3Pb4O14: relaxed, PBE with a Hubbard U.

M_tot (μB/f.u.): 0.00
ΔE_f (eV per atom): -2.35

Cell and atoms, written as POSCAR:
```
VP3Pb4O14
1.0
-0.0061 0.0000 13.4810
13.7103 0.0000 -0.4540
0.0000 14.0270 0.0000
O Pb P V
112 32 24 8
direct
0.9874 0.5591 0.8814 O
0.9485 0.5701 0.5920 O
0.4891 0.1204 0.5837 O
0.3221 0.3121 0.8544 O
0.1730 0.1969 0.8747 O
0.9463 0.4439 0.7413 O
0.4874 0.5591 0.6186 O
0.3427 0.3282 0.2728 O
0.9785 0.1177 0.6222 O
0.0295 0.6280 0.0981 O
0.3371 0.6846 0.0024 O
0.5985 0.0551 0.7556 O
0.1930 0.2125 0.3054 O
0.0215 0.8823 0.3778 O
0.2905 0.7076 0.6455 O
0.8207 0.4727 0.8795 O
0.4953 0.6295 0.0780 O
0.1793 0.5273 0.1205 O
0.4015 0.9449 0.2444 O
0.1646 0.8142 0.0038 O
0.7367 0.5000 0.1555 O
0.2560 0.9893 0.3722 O
0.2440 0.0107 0.8722 O
0.3457 0.9281 0.5231 O
0.3326 0.1639 0.1937 O
0.4406 0.0655 0.4123 O
0.1666 0.3223 0.7466 O
0.4785 0.1177 0.8778 O
0.5047 0.3705 0.9220 O
0.6666 0.3223 0.7534 O
0.0985 0.0551 0.7444 O
0.0515 0.4299 0.4080 O
0.7070 0.8149 0.2681 O
0.4543 0.9432 0.8146 O
0.5457 0.0568 0.1854 O
0.3207 0.4727 0.6205 O
0.8427 0.3282 0.2272 O
0.5126 0.4409 0.3814 O
0.2633 0.5000 0.8445 O
0.5109 0.8796 0.4163 O
0.9976 0.7646 0.9378 O
0.7440 0.0107 0.6278 O
0.3354 0.4376 0.0083 O
0.6730 0.1969 0.6253 O
0.7633 0.5000 0.6555 O
0.7560 0.9893 0.1278 O
0.4463 0.4439 0.7587 O
0.1014 0.9900 0.5762 O
0.0109 0.8796 0.0837 O
0.4705 0.3720 0.5981 O
0.5007 0.2546 0.0674 O
0.2367 0.5000 0.3445 O
0.6793 0.5273 0.3795 O
0.5024 0.2354 0.4378 O
0.1674 0.8361 0.6937 O
0.8270 0.8031 0.1253 O
0.9543 0.9432 0.6854 O
0.9015 0.9449 0.2556 O
0.0047 0.3705 0.5780 O
0.6543 0.0719 0.4769 O
0.5594 0.9345 0.5877 O
0.9993 0.7454 0.5674 O
0.5537 0.5561 0.2413 O
0.4976 0.7646 0.5622 O
0.8070 0.7875 0.6946 O
0.3270 0.8031 0.3747 O
0.8221 0.3121 0.6456 O
0.1543 0.0719 0.0231 O
0.6930 0.2125 0.1946 O
0.4993 0.7454 0.9326 O
0.6629 0.3154 0.9976 O
0.0457 0.0568 0.3146 O
0.3986 0.0100 0.0762 O
0.9705 0.3720 0.9019 O
0.9891 0.1204 0.9163 O
0.4485 0.5701 0.9080 O
0.8371 0.6846 0.4976 O
0.6646 0.5624 0.9917 O
0.8457 0.9281 0.9769 O
0.7930 0.1851 0.7681 O
0.0594 0.9345 0.9123 O
0.2930 0.1851 0.7319 O
0.3070 0.7875 0.8054 O
0.2095 0.2924 0.1455 O
0.1629 0.3154 0.5024 O
0.0537 0.5561 0.2587 O
0.7905 0.7076 0.8545 O
0.6646 0.8142 0.4962 O
0.7095 0.2924 0.3545 O
0.0007 0.2546 0.4326 O
0.6779 0.6879 0.1456 O
0.0024 0.2354 0.0622 O
0.9406 0.0655 0.0877 O
0.8986 0.0100 0.4238 O
0.8334 0.6777 0.2534 O
0.8354 0.1858 0.9962 O
0.3334 0.6777 0.2466 O
0.5515 0.4299 0.0920 O
0.3354 0.1858 0.5038 O
0.9953 0.6295 0.4220 O
0.8326 0.1639 0.3063 O
0.6573 0.6718 0.7272 O
0.1779 0.6879 0.3544 O
0.0126 0.4409 0.1186 O
0.6014 0.9900 0.9238 O
0.8354 0.4376 0.4917 O
0.1646 0.5624 0.5083 O
0.2070 0.8149 0.2319 O
0.5215 0.8823 0.1222 O
0.1573 0.6718 0.7728 O
0.5295 0.6280 0.4019 O
0.6674 0.8361 0.8063 O
0.0144 0.7453 0.2485 Pb
0.8334 0.8685 0.5458 Pb
0.4917 0.7784 0.7503 Pb
0.9917 0.7784 0.7497 Pb
0.1232 0.3554 0.0129 Pb
0.4856 0.2547 0.7485 Pb
0.6232 0.3554 0.4871 Pb
0.3590 0.1629 0.0089 Pb
0.6680 0.6361 0.5472 Pb
0.0083 0.2216 0.2503 Pb
0.9856 0.2547 0.7515 Pb
0.6609 0.4951 0.8152 Pb
0.8768 0.6446 0.9871 Pb
0.1680 0.6361 0.9528 Pb
0.3320 0.3639 0.4528 Pb
0.7277 0.9887 0.2905 Pb
0.5144 0.7453 0.2515 Pb
0.3391 0.5049 0.1848 Pb
0.1609 0.4951 0.6848 Pb
0.8391 0.5049 0.3152 Pb
0.6666 0.1315 0.0458 Pb
0.3334 0.8685 0.9542 Pb
0.5083 0.2216 0.2497 Pb
0.1666 0.1315 0.4542 Pb
0.7723 0.0113 0.7905 Pb
0.2277 0.9887 0.2095 Pb
0.8320 0.3639 0.0472 Pb
0.8590 0.1629 0.4911 Pb
0.3768 0.6446 0.5129 Pb
0.1410 0.8371 0.5089 Pb
0.2723 0.0113 0.7095 Pb
0.6410 0.8371 0.9911 Pb
0.4448 0.6552 0.9823 P
0.0578 0.8490 0.9872 P
0.9422 0.1510 0.0128 P
0.2683 0.2506 0.2288 P
0.5685 0.5363 0.3496 P
0.4686 0.9746 0.1575 P
0.7683 0.2506 0.2712 P
0.7317 0.7494 0.7712 P
0.2376 0.2545 0.7981 P
0.0685 0.5363 0.1504 P
0.0552 0.3448 0.4823 P
0.9315 0.4637 0.8496 P
0.9686 0.9746 0.3425 P
0.5552 0.3448 0.0177 P
0.4422 0.1510 0.4872 P
0.2624 0.7455 0.2981 P
0.7376 0.2545 0.7019 P
0.2317 0.7494 0.7288 P
0.4315 0.4637 0.6504 P
0.5578 0.8490 0.5128 P
0.9448 0.6552 0.5177 P
0.5314 0.0254 0.8425 P
0.7624 0.7455 0.2019 P
0.0314 0.0254 0.6575 P
0.6299 0.0588 0.5909 V
0.6338 0.5495 0.1070 V
0.1299 0.0588 0.9091 V
0.1338 0.5495 0.3930 V
0.3701 0.9412 0.4091 V
0.8662 0.4505 0.6070 V
0.8701 0.9412 0.0909 V
0.3662 0.4505 0.8930 V
```


(2)
VP2Pb2O9: relaxed, PBE with a Hubbard U.

M_tot (μB/f.u.): 1.00
ΔE_f (eV per atom): -2.44

Cell and atoms, written as POSCAR:
```
VP2Pb2O9
1.0
-3.7250 1.4950 -8.2521
-7.5236 -3.8788 2.6934
-4.9184 7.8949 3.6505
O P Pb V
36 8 8 4
direct
0.6502 0.4186 0.9386 O
0.8489 0.3857 0.1287 O
0.1633 0.3901 0.0724 O
0.6201 0.7479 0.4412 O
0.1003 0.1267 0.5603 O
0.3367 0.8901 0.0724 O
0.6515 0.5737 0.1280 O
0.5352 0.7803 0.8995 O
0.8850 0.6025 0.5909 O
0.4648 0.2197 0.1005 O
0.3799 0.2521 0.5588 O
0.8367 0.6099 0.9276 O
0.1511 0.6143 0.8713 O
0.3489 0.1143 0.8713 O
0.3498 0.5814 0.0614 O
0.8485 0.0737 0.1280 O
0.4104 0.6626 0.2999 O
0.1150 0.3975 0.4091 O
0.9104 0.8374 0.7001 O
0.9648 0.2803 0.8995 O
0.3485 0.4263 0.8720 O
0.5896 0.3374 0.7001 O
0.6511 0.8857 0.1287 O
0.1502 0.0814 0.0614 O
0.8498 0.9186 0.9386 O
0.6150 0.1025 0.5909 O
0.1201 0.7521 0.5588 O
0.8997 0.8733 0.4397 O
0.8799 0.2479 0.4412 O
0.6003 0.3733 0.4397 O
0.6633 0.1099 0.9276 O
0.3850 0.8975 0.4091 O
0.3997 0.6267 0.5603 O
0.0352 0.7197 0.1005 O
0.0896 0.1626 0.2999 O
0.1515 0.9263 0.8720 O
0.5480 0.2681 0.5730 P
0.9520 0.7681 0.5730 P
0.4520 0.7319 0.4270 P
0.0480 0.2319 0.4270 P
0.7514 0.9958 0.0319 P
0.7486 0.4958 0.0319 P
0.2514 0.5042 0.9681 P
0.2486 0.0042 0.9681 P
0.8088 0.5188 0.3586 Pb
0.3088 0.9812 0.6414 Pb
0.8547 0.1065 0.7140 Pb
0.3547 0.3935 0.2860 Pb
0.6453 0.6065 0.7140 Pb
0.1912 0.4812 0.6414 Pb
0.6912 0.0188 0.3586 Pb
0.1453 0.8935 0.2860 Pb
0.5005 0.7442 0.0634 V
0.9995 0.2442 0.0634 V
0.0005 0.7558 0.9366 V
0.4995 0.2558 0.9366 V
```


(3)
VZnP2PbO9: relaxed, PBE with a Hubbard U.

M_tot (μB/f.u.): 0.03
ΔE_f (eV per atom): -2.37

Cell and atoms, written as POSCAR:
```
VZnP2PbO9
1.0
8.8688 0.0000 0.0000
0.0000 9.2439 0.0000
0.0000 0.0000 18.2775
O V Pb Zn P
72 8 8 8 16
direct
0.6508 0.6787 0.7068 O
0.6618 0.9912 0.7068 O
0.3139 0.5943 0.0232 O
0.5606 0.8350 0.5869 O
0.8139 0.9057 0.9768 O
0.3139 0.9057 0.5232 O
0.8492 0.1787 0.7068 O
0.9394 0.1650 0.0869 O
0.4745 0.1990 0.5532 O
0.9691 0.6494 0.1987 O
0.6543 0.0014 0.3155 O
0.6543 0.4986 0.8155 O
0.1553 0.3152 0.1884 O
0.1861 0.0943 0.0232 O
0.4691 0.6494 0.3013 O
0.5309 0.3506 0.6987 O
0.1618 0.5088 0.2932 O
0.9745 0.3010 0.4468 O
0.5309 0.1494 0.1987 O
0.8447 0.6848 0.8116 O
0.8885 0.8598 0.4678 O
0.3382 0.4912 0.7932 O
0.9394 0.3350 0.5869 O
0.4394 0.1650 0.4131 O
0.3447 0.8152 0.1884 O
0.4745 0.3010 0.0532 O
0.6861 0.4057 0.9768 O
0.0309 0.3506 0.8013 O
0.9691 0.8506 0.6987 O
0.1543 0.4986 0.6845 O
0.3492 0.3213 0.2932 O
0.6553 0.1848 0.8116 O
0.0255 0.8010 0.0532 O
0.3447 0.6848 0.6884 O
0.9745 0.1990 0.9468 O
0.8447 0.8152 0.3116 O
0.6115 0.1402 0.9678 O
0.3457 0.5014 0.1845 O
0.1543 0.0014 0.1845 O
0.0309 0.1494 0.3013 O
0.0606 0.6650 0.4131 O
0.6115 0.3598 0.4678 O
0.4394 0.3350 0.9131 O
0.1861 0.4057 0.5232 O
0.6861 0.0943 0.4768 O
0.3885 0.8598 0.0322 O
0.6553 0.3152 0.3116 O
0.1553 0.1848 0.6884 O
0.1618 0.9912 0.7932 O
0.4691 0.8506 0.8013 O
0.8139 0.5943 0.4768 O
0.5255 0.6990 0.9468 O
0.6508 0.8213 0.2068 O
0.8382 0.0088 0.2068 O
0.1508 0.6787 0.7932 O
0.5606 0.6650 0.0869 O
0.3492 0.1787 0.7932 O
0.1115 0.1402 0.5322 O
0.1115 0.3598 0.0322 O
0.3885 0.6402 0.5322 O
0.5255 0.8010 0.4468 O
0.6618 0.5088 0.2068 O
0.8885 0.6402 0.9678 O
0.3457 0.9986 0.6845 O
0.8492 0.3213 0.2068 O
0.0255 0.6990 0.5532 O
0.1508 0.8213 0.2932 O
0.8457 0.9986 0.8155 O
0.0606 0.8350 0.9131 O
0.8382 0.4912 0.7068 O
0.8457 0.5014 0.3155 O
0.3382 0.0088 0.2932 O
0.5003 0.1613 0.2874 V
0.0003 0.3387 0.7126 V
0.4997 0.6613 0.2126 V
0.0003 0.1613 0.2126 V
0.9997 0.6613 0.2874 V
0.4997 0.8387 0.7126 V
0.9997 0.8387 0.7874 V
0.5003 0.3387 0.7874 V
0.1819 0.0062 0.4115 Pb
0.8181 0.5062 0.0885 Pb
0.3181 0.9938 0.9115 Pb
0.3181 0.5062 0.4115 Pb
0.6819 0.0062 0.0885 Pb
0.1819 0.4938 0.9115 Pb
0.6819 0.4938 0.5885 Pb
0.8181 0.9938 0.5885 Pb
0.1990 0.5877 0.5856 Zn
0.3010 0.0877 0.5856 Zn
0.6990 0.9123 0.4144 Zn
0.8010 0.4123 0.4144 Zn
0.1990 0.9123 0.0856 Zn
0.3010 0.4123 0.0856 Zn
0.8010 0.0877 0.9144 Zn
0.6990 0.5877 0.9144 Zn
0.2496 0.5904 0.7404 P
0.2504 0.4096 0.2404 P
0.9508 0.7008 0.4774 P
0.2504 0.0904 0.7404 P
0.5492 0.2992 0.9774 P
0.9508 0.7992 0.9774 P
0.7496 0.5904 0.7596 P
0.5492 0.2008 0.4774 P
0.4508 0.7992 0.5226 P
0.0492 0.2992 0.5226 P
0.0492 0.2008 0.0226 P
0.2496 0.9096 0.2404 P
0.4508 0.7008 0.0226 P
0.7504 0.4096 0.2596 P
0.7496 0.9096 0.2596 P
0.7504 0.0904 0.7596 P
```


(4)
Zn3P2Pb3WO14: relaxed, PBE with a Hubbard U.

M_tot (μB/f.u.): 0.00
ΔE_f (eV per atom): -2.18

Cell and atoms, written as POSCAR:
```
Zn3P2Pb3WO14
1.0
4.2704 -7.3966 0.0000
4.2704 7.3966 0.0000
0.0000 0.0000 5.2352
O P Zn Pb W
14 2 3 3 1
direct
0.0893 0.8739 0.7855 O
0.8739 0.0893 0.2145 O
0.8039 0.2814 0.6617 O
0.1261 0.2154 0.7855 O
0.4775 0.1961 0.6617 O
0.1961 0.4775 0.3383 O
0.2154 0.1261 0.2145 O
0.3333 0.6667 0.7486 O
0.6667 0.3333 0.2514 O
0.7186 0.5225 0.6617 O
0.2814 0.8039 0.3383 O
0.5225 0.7186 0.3383 O
0.9107 0.7846 0.2145 O
0.7846 0.9107 0.7855 O
0.6667 0.3333 0.5449 P
0.3333 0.6667 0.4551 P
0.7490 0.7490 0.5000 Zn
0.0000 0.2510 0.5000 Zn
0.2510 0.0000 0.5000 Zn
0.0000 0.5940 0.0000 Pb
0.5940 0.0000 0.0000 Pb
0.4060 0.4060 0.0000 Pb
0.0000 0.0000 0.0000 W
```


(5)
RbVP2O8: relaxed, PBE with a Hubbard U.

M_tot (μB/f.u.): 0.00
ΔE_f (eV per atom): -2.59

Cell and atoms, written as POSCAR:
```
RbVP2O8
1.0
9.1634 0.0000 0.0000
0.0000 4.7614 0.0000
0.0000 0.8871 16.7727
P O V Rb
8 32 4 4
direct
0.2195 0.0784 0.4014 P
0.6085 0.1418 0.2436 P
0.1085 0.8582 0.2564 P
0.7195 0.9216 0.0986 P
0.8915 0.1418 0.7436 P
0.7805 0.9216 0.5986 P
0.3915 0.8582 0.7564 P
0.2805 0.0784 0.9014 P
0.4990 0.3904 0.2454 O
0.6640 0.1567 0.5922 O
0.8360 0.1567 0.0922 O
0.2672 0.7852 0.2441 O
0.0596 0.1023 0.1991 O
0.9404 0.8977 0.8009 O
0.9133 0.0436 0.6529 O
0.3360 0.8433 0.4078 O
0.1640 0.8433 0.9078 O
0.2740 0.3360 0.3496 O
0.4133 0.9564 0.8471 O
0.5596 0.8977 0.3009 O
0.9605 0.4487 0.9029 O
0.2260 0.3360 0.8496 O
0.0867 0.9564 0.3471 O
0.7740 0.6640 0.1504 O
0.0010 0.3904 0.7454 O
0.7328 0.2148 0.7559 O
0.9990 0.6096 0.2546 O
0.5010 0.6096 0.7546 O
0.1534 0.1463 0.4792 O
0.4404 0.1023 0.6991 O
0.7260 0.6640 0.6504 O
0.2328 0.7852 0.7441 O
0.6534 0.8537 0.0208 O
0.5395 0.4487 0.4029 O
0.0395 0.5513 0.0971 O
0.7672 0.2148 0.2559 O
0.8466 0.8537 0.5208 O
0.3466 0.1463 0.9792 O
0.5867 0.0436 0.1529 O
0.4605 0.5513 0.5971 O
0.9320 0.4056 0.1633 V
0.4320 0.5944 0.3367 V
0.5680 0.4056 0.6633 V
0.0680 0.5944 0.8367 V
0.3530 0.6087 0.0856 Rb
0.8530 0.3913 0.4144 Rb
0.6470 0.3913 0.9144 Rb
0.1470 0.6087 0.5856 Rb
```